No. 1
## Mn2ZnO5 (PBE with a Hubbard U)

Data for crystalline Mn2ZnO5 at its relaxed geometry.

## Properties
**Size of the total moment**: 12.00 Bohr magnetons per cell
**Total DFT energy (no corrections)**: -6.20 eV/atom
**SG**: Pmmn (59)
**Crystal system**: orthorhombic
**ΔE to the lowest computed polymorph**: 0.033 eV per atom

Lattice parameters (Å, degrees): 3.547 11.676 4.410 90.00 90.00 90.00
Atoms (fractional coordinates):
Mn: 0.250 0.098 0.053
Mn: 0.250 0.402 0.053
Mn: 0.750 0.598 0.947
Mn: 0.750 0.902 0.947
Zn: 0.250 0.750 0.432
Zn: 0.750 0.250 0.568
O: 0.250 0.135 0.447
O: 0.250 0.250 0.923
O: 0.250 0.365 0.447
O: 0.250 0.572 0.049
O: 0.250 0.928 0.049
O: 0.750 0.072 0.951
O: 0.750 0.428 0.951
O: 0.750 0.635 0.553
O: 0.750 0.750 0.077
O: 0.750 0.865 0.553

No. 2
## Mn3ZnO7 (PBE with a Hubbard U)

Data for crystalline Mn3ZnO7 at its relaxed geometry.

## Properties
**Size of the total moment**: 18.00 Bohr magnetons per cell
**Total DFT energy (no corrections)**: -6.62 eV/atom
**SG**: R-3 (148)
**Crystal system**: trigonal
**ΔE to the lowest computed polymorph**: 0.068 eV per atom

Lattice parameters (Å, degrees): 7.496 7.496 7.496 62.46 62.46 62.46
Atoms (fractional coordinates):
Mn: 0.072 0.643 0.781
Mn: 0.219 0.928 0.357
Mn: 0.357 0.219 0.928
Mn: 0.643 0.781 0.072
Mn: 0.781 0.072 0.643
Mn: 0.928 0.357 0.219
Zn: 0.420 0.420 0.420
Zn: 0.580 0.580 0.580
O: 0.070 0.352 0.924
O: 0.076 0.930 0.648
O: 0.172 0.650 0.496
O: 0.221 0.221 0.221
O: 0.350 0.504 0.828
O: 0.352 0.924 0.070
O: 0.496 0.172 0.650
O: 0.504 0.828 0.350
O: 0.648 0.076 0.930
O: 0.650 0.496 0.172
O: 0.779 0.779 0.779
O: 0.828 0.350 0.504
O: 0.924 0.070 0.352
O: 0.930 0.648 0.076

No. 3
## MnZn4O5 (PBE with a Hubbard U)

Data for crystalline MnZn4O5 at its relaxed geometry.

## Properties
**Size of the total moment**: 0.00 Bohr magnetons per cell
**Total DFT energy (no corrections)**: -5.20 eV/atom

Lattice parameters (Å, degrees): 6.290 6.620 12.680 90.02 86.81 105.26
Atoms (fractional coordinates):
Mn: 0.268 0.570 0.769
Mn: 0.869 0.962 0.366
Mn: 0.268 0.070 0.769
Mn: 0.869 0.462 0.365
Zn: 0.139 0.033 0.131
Zn: 0.139 0.533 0.131
Zn: 0.535 0.130 0.534
Zn: 0.535 0.630 0.534
Zn: 0.932 0.234 0.935
Zn: 0.932 0.734 0.935
Zn: 0.669 0.168 0.165
Zn: 0.669 0.668 0.165
Zn: 0.337 0.335 0.332
Zn: 0.337 0.835 0.332
Zn: 0.738 0.436 0.732
Zn: 0.738 0.936 0.732
Zn: 0.471 0.367 0.968
Zn: 0.471 0.867 0.968
Zn: 0.069 0.263 0.566
Zn: 0.069 0.763 0.566
O: 0.442 0.110 0.057
O: 0.442 0.610 0.057
O: 0.036 0.006 0.655
O: 0.036 0.506 0.655
O: 0.836 0.205 0.462
O: 0.836 0.705 0.462
O: 0.973 0.242 0.091
O: 0.973 0.742 0.091
O: 0.579 0.146 0.690
O: 0.579 0.646 0.690
O: 0.181 0.046 0.287
O: 0.181 0.546 0.287
O: 0.634 0.409 0.253
O: 0.634 0.909 0.253
O: 0.236 0.312 0.865
O: 0.236 0.812 0.865
O: 0.372 0.340 0.490
O: 0.372 0.840 0.490
O: 0.772 0.444 0.890
O: 0.772 0.944 0.890

No. 4
## Mn3ZnO7 (PBE with a Hubbard U)

Data for crystalline Mn3ZnO7 at its relaxed geometry.

## Properties
**Total DFT energy (no corrections)**: -6.69 eV/atom
**SG**: R-3 (148)
**Crystal system**: trigonal
**ΔE to the lowest computed polymorph**: 0.000 eV per atom

Lattice parameters (Å, degrees): 6.543 6.543 6.543 72.29 72.29 72.29
Atoms (fractional coordinates):
Mn: 0.079 0.640 0.785
Mn: 0.215 0.921 0.360
Mn: 0.360 0.215 0.921
Mn: 0.640 0.785 0.079
Mn: 0.785 0.079 0.640
Mn: 0.921 0.360 0.215
Zn: 0.375 0.375 0.375
Zn: 0.625 0.625 0.625
O: 0.055 0.338 0.906
O: 0.094 0.945 0.662
O: 0.167 0.632 0.481
O: 0.235 0.235 0.235
O: 0.338 0.906 0.055
O: 0.368 0.519 0.833
O: 0.481 0.167 0.632
O: 0.519 0.833 0.368
O: 0.632 0.481 0.167
O: 0.662 0.094 0.945
O: 0.765 0.765 0.765
O: 0.833 0.368 0.519
O: 0.906 0.055 0.338
O: 0.945 0.662 0.094

No. 5
## MnZnO3 (PBE with a Hubbard U)

Data for crystalline MnZnO3 at its relaxed geometry.

## Properties
**Total DFT energy (no corrections)**: -6.12 eV/atom
**SG**: R-3 (148)
**Crystal system**: trigonal

Lattice parameters (Å, degrees): 5.494 5.494 5.494 54.75 54.75 54.75
Atoms (fractional coordinates):
Mn: 0.159 0.159 0.159
Mn: 0.841 0.841 0.841
Zn: 0.367 0.367 0.367
Zn: 0.633 0.633 0.633
O: 0.047 0.782 0.439
O: 0.218 0.561 0.953
O: 0.439 0.047 0.782
O: 0.561 0.953 0.218
O: 0.782 0.439 0.047
O: 0.953 0.218 0.561

No. 6
## Mn2ZnO5 (PBE with a Hubbard U)

Data for crystalline Mn2ZnO5 at its relaxed geometry.

## Properties
**Size of the total moment**: 12.00 Bohr magnetons per cell
**Total DFT energy (no corrections)**: -6.23 eV/atom
**SG**: Cmcm (63)
**Crystal system**: orthorhombic
**ΔE to the lowest computed polymorph**: 0.000 eV per atom

Lattice parameters (Å, degrees): 5.185 5.185 11.645 90.00 90.00 138.44
Atoms (fractional coordinates):
Mn: 0.219 0.781 0.598
Mn: 0.219 0.781 0.902
Mn: 0.781 0.219 0.098
Mn: 0.781 0.219 0.402
Zn: 0.082 0.918 0.250
Zn: 0.918 0.082 0.750
O: 0.041 0.959 0.618
O: 0.041 0.959 0.882
O: 0.235 0.765 0.075
O: 0.235 0.765 0.425
O: 0.302 0.698 0.750
O: 0.698 0.302 0.250
O: 0.765 0.235 0.575
O: 0.765 0.235 0.925
O: 0.959 0.041 0.118
O: 0.959 0.041 0.382

total DFT energy (no corrections) of number 1 (Mn2ZnO5)?
-6.20 eV/atom

Which formula does entry 3 have?
MnZn4O5

The lowest total DFT energy (no corrections) belongs to which entry?
number 4